A plane-wave DFT calculation with meta-GGA r2SCAN was carried out for an optimized crystal structure of CsTh2Te6.

Total moment   0.070 μB/atom
Calculated density   6.39 g cm⁻³
ΔH_f (0 K)   -1.302 eV/atom

abc: 6.2196 4.4675 25.4696
angles: 90.00 90.00 90.00
Last column: nearest neighbours and their distance in Å.
Space group Amm2 (No. 38)
Inequivalent atoms, fractional coordinates:
1 Cs 0.0000 0.0000 0.0000  8 Te 3.92-4.01
2 Th 0.0000 0.0000 0.8144  8 Te 3.21-3.31
3 Th 0.5000 0.0000 0.1799  8 Te 3.19-3.31
4 Te 0.0000 0.0000 0.2241  4 Th 3.21-3.31
5 Te 0.2462 0.0000 0.3840  2 Te 3.06-3.16, 2 Th 3.24
6 Te 0.2586 0.0000 0.6097  2 Te 3.00-3.22, 2 Th 3.23
7 Te 0.5000 0.0000 0.7695  4 Th 3.19-3.31

A plane-wave DFT calculation with meta-GGA r2SCAN was carried out for an optimized crystal structure of Li2YbTl.

Total moment   0.000 μB/atom
Calculated density   8.62 g cm⁻³
ΔH_f (0 K)   -0.274 eV/atom

abc: 6.7049 6.7049 6.7049
angles: 90.00 90.00 90.00
Last column: nearest neighbours and their distance in Å.
Space group Fm-3m (No. 225)
Inequivalent atoms, fractional coordinates:
1 Li 0.2500 0.2500 0.2500  4 Tl 2.90, 4 Yb 2.90
2 Yb 0.0000 0.0000 0.0000  8 Li 2.90
3 Tl 0.0000 0.0000 0.5000  8 Li 2.90

A plane-wave DFT calculation with meta-GGA r2SCAN was carried out for an optimized crystal structure of EuSnHg.

Total moment   2.334 μB/atom
Calculated density   9.39 g cm⁻³
ΔH_f (0 K)   -0.655 eV/atom

abc: 4.9277 4.9277 7.9310
angles: 90.00 90.00 120.00
Last column: nearest neighbours and their distance in Å.
Space group P6_3mc (No. 186)
Inequivalent atoms, fractional coordinates:
1 Eu 0.0000 0.0000 0.0000  3 Hg 3.24, 3 Sn 3.32
2 Sn 0.3333 0.6667 0.2148  4 Hg 2.93-3.25
3 Hg 0.3333 0.6667 0.8056  4 Sn 2.93-3.25, 3 Eu 3.24

A plane-wave DFT calculation with meta-GGA r2SCAN was carried out for an optimized crystal structure of Ac2S3.

Total moment   0.000 μB/atom
Calculated density   5.56 g cm⁻³
ΔH_f (0 K)   -2.440 eV/atom
E above lowest polymorph   0.26 eV/f.u.

abc: 7.6198 7.6198 19.5972
angles: 90.00 90.00 120.00
Last column: nearest neighbours and their distance in Å.
Space group R-3c (No. 167, hexagonal axes)
Inequivalent atoms, fractional coordinates:
1 Ac 0.0000 0.0000 0.1434  6 S 2.97-3.04
2 S 0.0000 0.2892 0.2500  4 Ac 2.97-3.04

A plane-wave DFT calculation with meta-GGA r2SCAN was carried out for an optimized crystal structure of ScAlFe.

Total moment   0.556 μB/atom
Calculated density   4.37 g cm⁻³
ΔH_f (0 K)   -0.366 eV/atom

abc: 8.4286 5.2031 8.8639
angles: 90.00 90.00 90.00
Last column: nearest neighbours and their distance in Å.
Space group Amm2 (No. 38)
Inequivalent atoms, fractional coordinates:
1 Sc 0.1759 0.0000 0.0000  5 Al 2.91-3.10, 4 Sc 2.97-3.17, 7 Fe 2.97-3.09
2 Sc 0.3037 0.0000 0.6633  5 Fe 2.92-3.08, 7 Al 3.01-3.08, 3 Sc 3.17
3 Al 0.2391 0.0000 0.3232  4 Fe 2.54-2.62, 2 Al 2.70
4 Al 0.5000 0.2464 0.9180  2 Fe 2.52-2.62, 4 Al 2.56-2.70
5 Fe 0.0000 0.0000 0.5019  4 Fe 2.47-2.67, 2 Al 2.56
6 Fe 0.0000 0.2342 0.7445  3 Fe 2.44-2.67, 2 Al 2.54
7 Fe 0.5000 0.0000 0.1629  6 Al 2.52-2.62

A plane-wave DFT calculation with meta-GGA r2SCAN was carried out for an optimized crystal structure of PrB2Ru2.

Total moment   0.000 μB/atom
Calculated density   8.10 g cm⁻³
ΔH_f (0 K)   -0.570 eV/atom

abc: 6.5069 9.1577 10.0369
angles: 90.00 90.00 90.00
Last column: nearest neighbours and their distance in Å.
Space group Fddd (No. 70, origin choice 2)
Inequivalent atoms, fractional coordinates:
1 Pr 0.1250 0.1250 0.1250  6 B 2.92-3.06, 4 Ru 3.03
2 B 0.1250 0.3056 0.6250  4 Ru 2.08-2.15
3 Ru 0.1250 0.1250 0.4885  4 B 2.08-2.15

A plane-wave DFT calculation with meta-GGA r2SCAN was carried out for an optimized crystal structure of HoAlCu.

Total moment   0.000 μB/atom
Calculated density   7.60 g cm⁻³
ΔH_f (0 K)   -0.504 eV/atom

abc: 6.9677 6.9677 3.9832
angles: 90.00 90.00 120.00
Last column: nearest neighbours and their distance in Å.
Space group P-62m (No. 189)
Inequivalent atoms, fractional coordinates:
1 Ho 0.0000 0.5849 0.0000  5 Cu 2.89, 6 Al 3.16-3.21
2 Al 0.0000 0.2335 0.5000  4 Cu 2.57-2.74, 2 Al 2.82
3 Cu 0.0000 0.0000 0.0000  6 Al 2.57
4 Cu 0.3333 0.6667 0.5000  3 Al 2.74, 6 Ho 2.89

A plane-wave DFT calculation with meta-GGA r2SCAN was carried out for an optimized crystal structure of Rb2TlAu3.

Total moment   0.000 μB/atom
Calculated density   9.00 g cm⁻³
ΔH_f (0 K)   -0.333 eV/atom

abc: 5.7452 6.8250 9.0925
angles: 90.00 90.00 90.00
Last column: nearest neighbours and their distance in Å.
Space group Pmma (No. 51)
Inequivalent atoms, fractional coordinates:
1 Rb 0.2500 0.0000 0.1288  6 Au 3.51-3.67, 2 Rb 3.71, 2 Tl 3.87
2 Rb 0.2500 0.5000 0.3678  10 Au 3.57-3.89, 2 Rb 3.75, 3 Tl 3.94-4.00
3 Tl 0.2500 0.5000 0.9281  2 Au 2.77
4 Au 0.0000 0.0000 0.5000  6 Au 2.82-2.87
5 Au 0.2500 0.2089 0.7153  1 Tl 2.77, 3 Au 2.82-2.85